Entry one
VASP calculation (PBE with a Hubbard U) on a geometry-optimized Li4V3CrO8 structure.

a = 5.1857 Å, b = 7.9108 Å, c = 7.9203 Å
α = 81.72°, β = 83.77°, γ = 70.94°
Closest atoms and distances in Å follow each position.
Fractional coordinates of all 32 atoms:
1 Li 0.0000 0.0000 0.0000  6 O 2.19-2.20
2 Li 0.0002 0.1242 0.6243  6 O 2.17-2.20
3 Li 0.0000 0.5000 0.5000  6 O 2.17-2.20
4 Li 0.9998 0.8758 0.3757  6 O 2.17-2.20
5 Li 0.0008 0.7489 0.7520  6 O 2.16-2.18
6 Li 0.0016 0.6237 0.1231  6 O 2.15-2.20
7 Li 0.9984 0.3763 0.8769  6 O 2.15-2.20
8 Li 0.9992 0.2511 0.2480  6 O 2.16-2.18
9 V 0.4988 0.4373 0.6877  6 O 2.05-2.09
10 V 0.4993 0.9376 0.1880  6 O 2.05-2.07
11 V 0.5003 0.1878 0.4370  6 O 2.05-2.08
12 V 0.4997 0.8122 0.5630  6 O 2.05-2.08
13 V 0.5007 0.0624 0.8120  6 O 2.05-2.07
14 V 0.5012 0.5627 0.3123  6 O 2.05-2.09
15 Cr 0.5003 0.3136 0.0620  6 O 2.03-2.05
16 Cr 0.4997 0.6864 0.9380  6 O 2.03-2.05
17 O 0.2685 0.6523 0.5338  3 V 2.05-2.09, 3 Li 2.16-2.18
18 O 0.2698 0.0292 0.4047  3 V 2.05-2.08, 3 Li 2.17-2.18
19 O 0.2711 0.2774 0.6550  3 V 2.05-2.06, 3 Li 2.17-2.20
20 O 0.2726 0.4016 0.2777  1 Cr 2.04, 2 V 2.06, 3 Li 2.17-2.20
21 O 0.2743 0.1528 0.0311  1 Cr 2.04, 2 V 2.05-2.07, 3 Li 2.17-2.20
22 O 0.2742 0.5265 0.9080  2 Cr 2.03, 1 V 2.07, 3 Li 2.15-2.19
23 O 0.2737 0.8980 0.7810  1 Cr 2.04, 2 V 2.05-2.07, 3 Li 2.16-2.20
24 O 0.2748 0.7757 0.1550  1 Cr 2.05, 2 V 2.05, 3 Li 2.19-2.20
25 O 0.7252 0.2243 0.8450  1 Cr 2.05, 2 V 2.05, 3 Li 2.19-2.20
26 O 0.7263 0.1020 0.2190  1 Cr 2.04, 2 V 2.05-2.07, 3 Li 2.16-2.20
27 O 0.7258 0.4735 0.0920  2 Cr 2.03, 1 V 2.07, 3 Li 2.15-2.19
28 O 0.7257 0.8472 0.9689  1 Cr 2.04, 2 V 2.05-2.07, 3 Li 2.17-2.20
29 O 0.7274 0.5984 0.7223  1 Cr 2.04, 2 V 2.06, 3 Li 2.17-2.20
30 O 0.7289 0.7226 0.3450  3 V 2.05-2.06, 3 Li 2.17-2.20
31 O 0.7302 0.9708 0.5953  3 V 2.05-2.08, 3 Li 2.17-2.18
32 O 0.7315 0.3477 0.4662  3 V 2.05-2.09, 3 Li 2.16-2.18

## Properties
V = 9.5 A^3/atom
Total moment = 18.000 μB/cell

Entry two
VASP calculation (PBE with a Hubbard U) on a geometry-optimized Li4V3CrO8 structure.

a = 5.1883 Å, b = 6.0005 Å, c = 10.3590 Å
α = 89.85°, β = 80.24°, γ = 73.09°
Closest atoms and distances in Å follow each position.
Fractional coordinates of all 32 atoms:
1 Li 0.0000 0.0000 0.0000  6 O 2.17-2.20
2 Li 0.0000 0.0000 0.5000  6 O 2.17-2.19
3 Li 0.0000 0.5000 0.0000  6 O 2.17-2.18
4 Li 0.0000 0.5000 0.5000  6 O 2.16-2.21
5 Li 0.0009 0.2477 0.2509  6 O 2.17-2.19
6 Li 0.0023 0.2466 0.7501  6 O 2.16-2.22
7 Li 0.9977 0.7534 0.2499  6 O 2.16-2.22
8 Li 0.9991 0.7523 0.7491  6 O 2.17-2.19
9 V 0.5003 0.1251 0.8748  6 O 2.05-2.07
10 V 0.4997 0.3750 0.1258  6 O 2.05-2.07
11 V 0.5002 0.3759 0.6248  6 O 2.05-2.06
12 V 0.4998 0.6241 0.3752  6 O 2.05-2.06
13 V 0.5003 0.6250 0.8742  6 O 2.05-2.07
14 V 0.4997 0.8749 0.1252  6 O 2.05-2.07
15 Cr 0.4989 0.1240 0.3759  6 O 2.04-2.05
16 Cr 0.5011 0.8760 0.6241  6 O 2.04-2.05
17 O 0.2693 0.6827 0.0605  3 V 2.06-2.07, 3 Li 2.17-2.18
18 O 0.2705 0.1826 0.0613  3 V 2.06-2.07, 3 Li 2.17-2.18
19 O 0.2715 0.4293 0.3126  1 Cr 2.04, 2 V 2.06, 3 Li 2.16-2.22
20 O 0.2719 0.4329 0.8110  3 V 2.05-2.06, 3 Li 2.17-2.19
21 O 0.2732 0.9331 0.3109  1 Cr 2.05, 2 V 2.05-2.06, 3 Li 2.17-2.19
22 O 0.2740 0.6853 0.5605  1 Cr 2.05, 2 V 2.05-2.06, 3 Li 2.17-2.21
23 O 0.2753 0.1800 0.5607  2 Cr 2.04, 1 V 2.06, 3 Li 2.18-2.20
24 O 0.2753 0.9322 0.8089  1 Cr 2.04, 2 V 2.06, 3 Li 2.16-2.20
25 O 0.7247 0.0678 0.1911  1 Cr 2.04, 2 V 2.06, 3 Li 2.16-2.20
26 O 0.7247 0.8200 0.4393  2 Cr 2.04, 1 V 2.06, 3 Li 2.18-2.20
27 O 0.7260 0.3147 0.4395  1 Cr 2.05, 2 V 2.05-2.06, 3 Li 2.17-2.21
28 O 0.7268 0.0669 0.6891  1 Cr 2.05, 2 V 2.05-2.06, 3 Li 2.17-2.19
29 O 0.7281 0.5671 0.1890  3 V 2.05-2.06, 3 Li 2.17-2.19
30 O 0.7285 0.5707 0.6874  1 Cr 2.04, 2 V 2.06, 3 Li 2.16-2.22
31 O 0.7295 0.8174 0.9387  3 V 2.06-2.07, 3 Li 2.17-2.18
32 O 0.7307 0.3173 0.9395  3 V 2.06-2.07, 3 Li 2.17-2.18

## Properties
V = 9.5 A^3/atom
Total moment = 18.000 μB/cell

Entry three
VASP calculation (PBE with a Hubbard U) on a geometry-optimized Li4V3CrO8 structure.

a = 5.1966 Å, b = 5.9723 Å, c = 5.2103 Å
α = 90.00°, β = 109.93°, γ = 90.00°
Closest atoms and distances in Å follow each position.
Fractional coordinates of all 16 atoms:
1 Li 0.0000 0.0000 0.0000  6 O 2.17-2.22
2 Li 0.0000 0.2481 0.5000  6 O 2.17-2.19
3 Li 0.0000 0.5000 0.0000  6 O 2.19-2.20
4 Li 0.0000 0.7519 0.5000  6 O 2.17-2.19
5 V 0.5000 0.2499 0.0000  6 O 2.04-2.09
6 V 0.5000 0.5000 0.5000  6 O 2.06
7 V 0.5000 0.7501 0.0000  6 O 2.04-2.09
8 Cr 0.5000 0.0000 0.5000  6 O 2.03-2.04
9 O 0.2706 0.2470 0.2609  1 Cr 2.03, 2 V 2.06-2.09, 3 Li 2.17-2.19
10 O 0.2706 0.7530 0.2609  1 Cr 2.03, 2 V 2.06-2.09, 3 Li 2.17-2.19
11 O 0.2748 0.5000 0.7583  3 V 2.04-2.06, 3 Li 2.19-2.20
12 O 0.2780 0.0000 0.7568  2 V 2.04, 1 Cr 2.04, 3 Li 2.18-2.22
13 O 0.7220 0.0000 0.2432  2 V 2.04, 1 Cr 2.04, 3 Li 2.18-2.22
14 O 0.7252 0.5000 0.2417  3 V 2.04-2.06, 3 Li 2.19-2.20
15 O 0.7294 0.2470 0.7391  1 Cr 2.03, 2 V 2.06-2.09, 3 Li 2.17-2.19
16 O 0.7294 0.7530 0.7391  1 Cr 2.03, 2 V 2.06-2.09, 3 Li 2.17-2.19

## Properties
V = 9.5 A^3/atom
Total moment = 9.001 μB/cell

Entry four
VASP calculation (PBE with a Hubbard U) on a geometry-optimized Li4V3CrO8 structure.

a = 5.1704 Å, b = 7.9100 Å, c = 7.9148 Å
α = 81.97°, β = 83.75°, γ = 70.96°
Closest atoms and distances in Å follow each position.
Fractional coordinates of all 32 atoms:
1 Li 0.9997 0.0631 0.3099  6 O 2.17-2.19
2 Li 0.0004 0.3134 0.5621  6 O 2.15-2.20
3 Li 0.9996 0.6866 0.4379  6 O 2.15-2.20
4 Li 0.0003 0.9369 0.6901  6 O 2.17-2.19
5 Li 0.0020 0.1853 0.9390  6 O 2.16-2.20
6 Li 0.0023 0.4356 0.1875  6 O 2.17-2.21
7 Li 0.9977 0.5644 0.8125  6 O 2.17-2.21
8 Li 0.9980 0.8147 0.0610  6 O 2.16-2.20
9 V 0.4988 0.2508 0.7498  6 O 2.04-2.08
10 V 0.5000 0.0000 0.5000  6 O 2.05-2.06
11 V 0.5001 0.3750 0.3747  6 O 2.06
12 V 0.5000 0.5000 0.0000  6 O 2.05-2.06
13 V 0.4999 0.6250 0.6253  6 O 2.06
14 V 0.5012 0.7492 0.2502  6 O 2.04-2.08
15 Cr 0.5003 0.1240 0.1240  6 O 2.03-2.05
16 Cr 0.4997 0.8760 0.8760  6 O 2.03-2.05
17 O 0.2669 0.4669 0.5919  3 V 2.06-2.08, 3 Li 2.15-2.17
18 O 0.2704 0.5891 0.2179  3 V 2.06, 3 Li 2.17-2.20
19 O 0.2705 0.8390 0.4680  3 V 2.06, 3 Li 2.17-2.19
20 O 0.2732 0.0889 0.7198  2 V 2.04-2.06, 1 Cr 2.05, 3 Li 2.17-2.20
21 O 0.2730 0.3368 0.9679  2 V 2.04-2.06, 1 Cr 2.05, 3 Li 2.17-2.21
22 O 0.2733 0.7153 0.8442  1 Cr 2.04, 2 V 2.05-2.06, 3 Li 2.17-2.19
23 O 0.2742 0.2123 0.3410  1 Cr 2.04, 2 V 2.05-2.06, 3 Li 2.17-2.20
24 O 0.2743 0.9649 0.0915  2 Cr 2.03, 1 V 2.07, 3 Li 2.16-2.18
25 O 0.7257 0.0351 0.9085  2 Cr 2.03, 1 V 2.07, 3 Li 2.16-2.18
26 O 0.7258 0.7877 0.6590  1 Cr 2.04, 2 V 2.05-2.06, 3 Li 2.17-2.20
27 O 0.7267 0.2847 0.1558  1 Cr 2.04, 2 V 2.05-2.06, 3 Li 2.17-2.19
28 O 0.7270 0.6632 0.0321  2 V 2.04-2.06, 1 Cr 2.05, 3 Li 2.17-2.21
29 O 0.7268 0.9111 0.2802  2 V 2.04-2.06, 1 Cr 2.05, 3 Li 2.17-2.20
30 O 0.7295 0.1610 0.5320  3 V 2.06, 3 Li 2.17-2.19
31 O 0.7296 0.4109 0.7821  3 V 2.06, 3 Li 2.17-2.20
32 O 0.7331 0.5331 0.4081  3 V 2.06-2.08, 3 Li 2.15-2.17

## Properties
V = 9.4 A^3/atom
Total moment = 2.000 μB/cell

Order from most stable to least stable according to the calculation: entry four, entry one, entry two, entry three

Entry one
VASP calculation (PBE with a Hubbard U) on a geometry-optimized Li2VCr2O6 structure.

a = 10.2171 Å, b = 5.1581 Å, c = 5.1581 Å
α = 59.19°, β = 90.00°, γ = 90.00°
Closest atoms and distances in Å follow each position.
Fractional coordinates of all 22 atoms:
1 Li 0.2500 0.1010 0.8990  4 O 2.02-2.11
2 Li 0.2500 0.6010 0.3990  4 O 2.02-2.11
3 Li 0.7500 0.3990 0.6010  4 O 2.02-2.11
4 Li 0.7500 0.8990 0.1010  4 O 2.02-2.11
5 V 0.0000 0.2504 0.2504  6 O 1.88-2.05
6 V 0.5000 0.7504 0.7504  6 O 1.88-2.05
7 Cr 0.0000 0.5840 0.5840  6 O 2.01-2.04
8 Cr 0.0000 0.9151 0.9151  6 O 2.01-2.04
9 Cr 0.5000 0.0840 0.0840  6 O 2.01-2.04
10 Cr 0.5000 0.4151 0.4151  6 O 2.01-2.04
11 O 0.0966 0.5639 0.9361  1 V 1.88, 2 Cr 2.02
12 O 0.1064 0.9190 0.2409  2 Cr 2.01-2.04, 2 Li 2.03-2.11, 1 V 2.05
13 O 0.1074 0.2584 0.5821  2 Cr 2.01-2.04, 2 Li 2.02-2.10, 1 V 2.05
14 O 0.3926 0.7584 0.0821  2 Cr 2.01-2.04, 2 Li 2.02-2.10, 1 V 2.05
15 O 0.3936 0.4190 0.7409  2 Cr 2.01-2.04, 2 Li 2.03-2.11, 1 V 2.05
16 O 0.4034 0.0639 0.4361  1 V 1.88, 2 Cr 2.02
17 O 0.5966 0.4361 0.0639  1 V 1.88, 2 Cr 2.02
18 O 0.6064 0.7409 0.4190  2 Cr 2.01-2.04, 2 Li 2.03-2.11, 1 V 2.05
19 O 0.6074 0.0821 0.7584  2 Cr 2.01-2.04, 2 Li 2.02-2.10, 1 V 2.05
20 O 0.8926 0.5821 0.2584  2 Cr 2.01-2.04, 2 Li 2.02-2.10, 1 V 2.05
21 O 0.8936 0.2409 0.9190  2 Cr 2.01-2.04, 2 Li 2.03-2.11, 1 V 2.05
22 O 0.9034 0.9361 0.5639  1 V 1.88, 2 Cr 2.02

## Properties
V = 10.6 A^3/atom
Total moment = 0.000 μB/cell

Entry two
VASP calculation (PBE with a Hubbard U) on a geometry-optimized Li2VCr2O6 structure.

a = 7.8714 Å, b = 7.8714 Å, c = 6.0030 Å
α = 101.90°, β = 101.90°, γ = 69.36°
Closest atoms and distances in Å follow each position.
Fractional coordinates of all 33 atoms:
1 Li 0.1670 0.4991 0.6731  6 O 2.15-2.25
2 Li 0.1692 0.8308 0.0000  6 O 2.17-2.23
3 Li 0.4991 0.1670 0.6731  6 O 2.15-2.25
4 Li 0.5009 0.8330 0.3269  6 O 2.15-2.25
5 Li 0.8308 0.1692 0.0000  6 O 2.17-2.23
6 Li 0.8330 0.5009 0.3269  6 O 2.15-2.25
7 V 0.1640 0.8360 0.5000  6 O 1.93-2.00
8 V 0.5000 0.5000 0.5000  6 O 1.88-2.03
9 V 0.8360 0.1640 0.5000  6 O 1.93-2.00
10 Cr 0.1648 0.1648 0.8362  6 O 1.97-2.08
11 Cr 0.1689 0.4983 0.1640  6 O 1.98-2.07
12 Cr 0.4983 0.1689 0.1640  6 O 1.98-2.07
13 Cr 0.5017 0.8311 0.8360  6 O 1.98-2.07
14 Cr 0.8311 0.5017 0.8360  6 O 1.98-2.07
15 Cr 0.8352 0.8352 0.1638  6 O 1.97-2.08
16 O 0.0010 0.3443 0.0596  3 Cr 1.98-2.03, 2 Li 2.17-2.18
17 O 0.0048 0.0048 0.7293  2 V 2.00, 1 Cr 2.01, 2 Li 2.23
18 O 0.0167 0.6752 0.4021  1 V 1.93, 2 Cr 2.03-2.08
19 O 0.3217 0.3217 0.9305  3 Cr 1.97-2.01, 2 Li 2.18
20 O 0.3254 0.6683 0.2779  2 V 1.98-2.03, 1 Cr 2.05, 2 Li 2.15-2.20
21 O 0.3248 0.9833 0.5979  1 V 1.93, 2 Cr 2.03-2.08
22 O 0.3317 0.6746 0.7221  2 V 1.98-2.03, 1 Cr 2.05, 2 Li 2.15-2.20
23 O 0.3443 0.0010 0.0596  3 Cr 1.98-2.03, 2 Li 2.17-2.18
24 O 0.3498 0.3498 0.4124  1 V 1.88, 2 Cr 2.07
25 O 0.6502 0.6502 0.5876  1 V 1.88, 2 Cr 2.07
26 O 0.6557 0.9990 0.9404  3 Cr 1.98-2.03, 2 Li 2.17-2.18
27 O 0.6683 0.3254 0.2779  2 V 1.98-2.03, 1 Cr 2.05, 2 Li 2.15-2.20
28 O 0.6752 0.0167 0.4021  1 V 1.93, 2 Cr 2.03-2.08
29 O 0.6746 0.3317 0.7221  2 V 1.98-2.03, 1 Cr 2.05, 2 Li 2.15-2.20
30 O 0.6783 0.6783 0.0695  3 Cr 1.97-2.01, 2 Li 2.18
31 O 0.9833 0.3248 0.5979  1 V 1.93, 2 Cr 2.03-2.08
32 O 0.9952 0.9952 0.2707  2 V 2.00, 1 Cr 2.01, 2 Li 2.23
33 O 0.9990 0.6557 0.9404  3 Cr 1.98-2.03, 2 Li 2.17-2.18

## Properties
V = 10.2 A^3/atom
Total moment = 21.000 μB/cell

Order from most stable to least stable according to the calculation: entry two, entry one